Here is a relaxed structure of Te4Mo2WS2 from the Materials Project database. Energies are from PBE.

```
Te4Mo2WS2
1.0
3.423 0.000 0.000
-1.712 2.965 0.000
0.000 0.000 31.719
Te Mo W S
4 2 1 2
Cartesian
0.000 0.000 0.000
0.000 0.000 3.726
1.712 0.988 24.366
1.712 0.988 28.113
1.712 0.988 1.864
1.712 0.988 18.906
0.000 0.000 26.240
0.000 0.000 17.407
0.000 0.000 20.404
```

Values from the calculation:
As for the total energy: -6.50 eV per atom. The distance to the lowest polymorph of the same formula is 0.0467 eV per atom. The volume is 321.9 Å³/cell. The total magnetic moment is 0.0 μB/f.u.



Here is a relaxed structure of Te2MoW2S4 from the Materials Project database. Energies are from PBE.

```
Te2MoW2S4
1.0
3.296 0.000 0.000
-1.648 2.854 0.000
0.000 0.000 30.587
Te Mo W S
2 1 2 4
Cartesian
0.000 0.000 1.918
0.000 0.000 28.669
0.000 1.903 0.000
0.000 0.000 7.077
0.000 0.000 23.510
0.000 1.903 5.539
0.000 1.903 8.615
0.000 1.903 21.972
0.000 1.903 25.049
```

Values from the calculation:
As for the total energy: -7.19 eV per atom. The distance to the lowest polymorph of the same formula is 0.0003 eV per atom. The volume is 287.7 Å³/cell. The total magnetic moment is 0.0 μB/f.u.



Here is a relaxed structure of TeMoWS3 from the Materials Project database. Energies are from PBE.

```
TeMoWS3
1.0
3.275 0.000 0.000
-1.638 2.836 0.000
0.000 0.000 37.201
Te Mo W S
2 2 2 6
Cartesian
0.000 0.000 0.000
0.000 0.000 3.875
0.000 0.000 18.170
0.000 1.891 25.160
0.000 0.000 32.146
0.000 1.891 1.939
0.000 0.000 23.621
0.000 0.000 26.698
0.000 1.891 16.632
0.000 1.891 19.710
0.000 1.891 30.602
0.000 1.891 33.690
```

Values from the calculation:
As for the total energy: -7.16 eV per atom. The distance to the lowest polymorph of the same formula is 0.0397 eV per atom. The volume is 345.6 Å³/cell. The total magnetic moment is 0.0 μB/f.u.



Here is a relaxed structure of Te2Mo2WS4 from the Materials Project database. Energies are from PBE.

```
Te2Mo2WS4
1.0
3.300 0.000 0.000
-1.650 2.858 0.000
0.000 0.000 30.548
Te Mo W S
2 2 1 4
Cartesian
0.000 0.000 0.000
0.000 0.000 3.833
1.650 0.953 1.917
1.650 0.953 18.330
0.000 0.000 25.394
0.000 0.000 16.800
0.000 0.000 19.859
1.650 0.953 23.859
1.650 0.953 26.931
```

Values from the calculation:
As for the total energy: -6.97 eV per atom. The distance to the lowest polymorph of the same formula is 0.0005 eV per atom. The volume is 288.1 Å³/cell.



Here is a relaxed structure of Te2MoW2S4 from the Materials Project database. Energies are from PBE.

```
Te2MoW2S4
1.0
3.303 0.000 0.000
-1.651 2.860 0.000
0.000 0.000 30.583
Te Mo W S
2 1 2 4
Cartesian
0.000 0.000 0.000
0.000 0.000 3.856
0.000 0.000 25.435
0.000 0.000 9.005
0.000 1.907 1.928
0.000 1.907 7.468
0.000 1.907 10.541
0.000 1.907 23.906
0.000 1.907 26.966
```

Values from the calculation:
As for the total energy: -7.14 eV per atom. The distance to the lowest polymorph of the same formula is 0.0498 eV per atom. The volume is 288.9 Å³/cell. The total magnetic moment is 0.0 μB/f.u.



Here is a relaxed structure of TeMoWS3 from the Materials Project database. Energies are from PBE.

```
TeMoWS3
1.0
3.272 0.000 0.000
-1.636 2.833 0.000
0.000 0.000 39.058
Te Mo W S
2 2 2 6
Cartesian
0.000 0.000 0.000
0.000 0.000 3.855
0.000 0.000 33.631
1.636 0.944 1.929
0.000 0.000 9.333
1.636 0.944 26.320
0.000 0.000 24.776
0.000 0.000 27.866
1.636 0.944 7.787
1.636 0.944 10.877
1.636 0.944 32.092
1.636 0.944 35.171
```

Values from the calculation:
As for the total energy: -7.20 eV per atom. The distance to the lowest polymorph of the same formula is 0.0000 eV per atom. The volume is 362.1 Å³/cell. The total magnetic moment is 0.0 μB/f.u.



Here is a relaxed structure of Te4MoW2S2 from the Materials Project database. Energies are from PBE.

```
Te4MoW2S2
1.0
3.420 0.000 0.000
-1.710 2.962 0.000
0.000 0.000 32.596
Te Mo W S
4 1 2 2
Cartesian
0.000 0.000 0.000
0.000 0.000 3.723
0.000 1.975 7.581
0.000 1.975 11.329
0.000 1.975 1.860
0.000 0.000 9.455
0.000 0.000 26.936
0.000 1.975 25.435
0.000 1.975 28.440
```

Values from the calculation:
As for the total energy: -6.72 eV per atom. The distance to the lowest polymorph of the same formula is 0.0000 eV per atom. The volume is 330.2 Å³/cell. The total magnetic moment is 0.0 μB/f.u.



Here is a relaxed structure of Te6MoW3S2 from the Materials Project database. Energies are from PBE.

```
Te6MoW3S2
1.0
3.451 0.000 0.000
-1.726 2.989 0.000
0.000 0.000 39.368
Te Mo W S
6 1 3 2
Cartesian
0.000 0.000 0.000
0.000 0.000 3.718
0.000 0.000 14.773
0.000 0.000 18.492
0.000 1.993 31.939
0.000 1.993 35.638
0.000 0.000 33.788
0.000 0.000 9.238
0.000 1.993 1.862
0.000 1.993 16.632
0.000 1.993 7.745
0.000 1.993 10.727
```

Values from the calculation:
As for the total energy: -6.66 eV per atom. The distance to the lowest polymorph of the same formula is 0.0000 eV per atom. The volume is 406.1 Å³/cell. The total magnetic moment is 0.0 μB/f.u.



Here is a relaxed structure of Te4Mo3WS4 from the Materials Project database. Energies are from PBE.

```
Te4Mo3WS4
1.0
3.362 0.000 0.000
-1.681 2.911 0.000
0.000 0.000 38.234
Te Mo W S
4 3 1 4
Cartesian
0.000 0.000 0.000
0.000 0.000 3.801
0.000 1.941 16.697
0.000 1.941 20.475
0.000 0.000 18.585
0.000 0.000 32.951
0.000 1.941 25.769
0.000 1.941 1.902
0.000 0.000 24.256
0.000 0.000 27.282
0.000 1.941 31.437
0.000 1.941 34.466
```

Values from the calculation:
As for the total energy: -6.66 eV per atom. The distance to the lowest polymorph of the same formula is 0.0367 eV per atom. The volume is 374.2 Å³/cell. The total magnetic moment is 0.0 μB/f.u.



Here is a relaxed structure of Te2Mo2WS4 from the Materials Project database. Energies are from PBE.

```
Te2Mo2WS4
1.0
3.305 0.000 0.000
-1.653 2.863 0.000
0.000 0.000 30.513
Te Mo W S
2 2 1 4
Cartesian
0.000 0.000 0.000
0.000 0.000 3.852
0.000 0.000 25.379
1.653 0.954 18.321
1.653 0.954 1.927
0.000 0.000 16.791
0.000 0.000 19.852
1.653 0.954 23.850
1.653 0.954 26.909
```

Values from the calculation:
As for the total energy: -6.92 eV per atom. The distance to the lowest polymorph of the same formula is 0.0498 eV per atom. The volume is 288.7 Å³/cell. The total magnetic moment is 0.0 μB/f.u.



Here is a relaxed structure of Te4Mo2WS2 from the Materials Project database. Energies are from PBE.

```
Te4Mo2WS2
1.0
3.429 0.000 0.000
-1.714 2.969 0.000
0.000 0.000 31.652
Te Mo W S
4 2 1 2
Cartesian
0.000 0.000 0.000
0.000 0.000 3.714
0.000 1.980 7.311
0.000 1.980 11.053
0.000 0.000 26.190
0.000 1.980 1.858
0.000 0.000 9.183
0.000 1.980 24.693
0.000 1.980 27.687
```

Values from the calculation:
As for the total energy: -6.50 eV per atom. The distance to the lowest polymorph of the same formula is 0.0467 eV per atom. The volume is 322.2 Å³/cell. The total magnetic moment is 0.0 μB/f.u.



Here is a relaxed structure of TeMoWS3 from the Materials Project database. Energies are from PBE.

```
TeMoWS3
1.0
3.271 0.000 0.000
-1.635 2.832 0.000
0.000 0.000 37.175
Te Mo W S
2 2 2 6
Cartesian
0.000 0.000 0.000
0.000 0.000 3.856
0.000 0.000 18.149
0.000 1.888 1.929
0.000 0.000 32.115
0.000 1.888 25.134
0.000 0.000 23.588
0.000 0.000 26.680
0.000 1.888 16.610
0.000 1.888 19.689
0.000 1.888 30.570
0.000 1.888 33.661
```

Values from the calculation:
As for the total energy: -7.19 eV per atom. The distance to the lowest polymorph of the same formula is 0.0016 eV per atom. The volume is 344.4 Å³/cell. The total magnetic moment is 0.0 μB/f.u.



Here is a relaxed structure of Te4Mo2WS2 from the Materials Project database. Energies are from PBE.

```
Te4Mo2WS2
1.0
3.436 0.000 0.000
-1.718 2.976 0.000
0.000 0.000 31.561
Te Mo W S
4 2 1 2
Cartesian
0.000 0.000 0.000
0.000 0.000 3.711
0.000 0.000 14.583
0.000 0.000 18.329
0.000 0.000 9.156
1.718 0.992 1.855
1.718 0.992 16.457
1.718 0.992 7.672
1.718 0.992 10.639
```

Values from the calculation:
As for the total energy: -6.50 eV per atom. The distance to the lowest polymorph of the same formula is 0.0458 eV per atom. The volume is 322.8 Å³/cell. The total magnetic moment is 0.0 μB/f.u.



Here is a relaxed structure of Te2MoW2S4 from the Materials Project database. Energies are from PBE.

```
Te2MoW2S4
1.0
3.302 0.000 0.000
-1.651 2.860 0.000
0.000 0.000 30.539
Te Mo W S
2 1 2 4
Cartesian
0.000 0.000 0.000
0.000 0.000 3.857
0.000 0.000 25.402
1.651 0.953 1.929
1.651 0.953 18.338
0.000 0.000 16.801
0.000 0.000 19.874
1.651 0.953 23.873
1.651 0.953 26.931
```

Values from the calculation:
As for the total energy: -7.14 eV per atom. The distance to the lowest polymorph of the same formula is 0.0492 eV per atom. The volume is 288.4 Å³/cell. The total magnetic moment is 0.0 μB/f.u.



Here is a relaxed structure of TeMoWS3 from the Materials Project database. Energies are from PBE.

```
TeMoWS3
1.0
3.274 0.000 0.000
-1.637 2.835 0.000
0.000 0.000 39.659
Te Mo W S
2 2 2 6
Cartesian
0.000 0.000 0.000
0.000 0.000 3.884
0.000 0.000 34.119
1.637 0.945 26.703
0.000 0.000 9.504
1.637 0.945 1.942
0.000 0.000 25.164
0.000 0.000 28.242
1.637 0.945 7.960
1.637 0.945 11.046
1.637 0.945 32.582
1.637 0.945 35.657
```

Values from the calculation:
As for the total energy: -7.16 eV per atom. The distance to the lowest polymorph of the same formula is 0.0383 eV per atom. The volume is 368.1 Å³/cell. The total magnetic moment is 0.0 μB/f.u.



Here is a relaxed structure of Te4Mo3WS4 from the Materials Project database. Energies are from PBE.

```
Te4Mo3WS4
1.0
3.362 0.000 0.000
-1.681 2.912 0.000
0.000 0.000 38.305
Te Mo W S
4 3 1 4
Cartesian
0.000 0.000 0.000
0.000 0.000 3.782
0.000 0.000 14.382
0.000 0.000 18.184
0.000 0.000 9.087
0.000 0.000 32.999
0.000 1.941 1.891
0.000 1.941 16.284
0.000 1.941 7.575
0.000 1.941 10.599
0.000 1.941 31.485
0.000 1.941 34.514
```

Values from the calculation:
As for the total energy: -6.67 eV per atom. The distance to the lowest polymorph of the same formula is 0.0312 eV per atom. The volume is 375.0 Å³/cell. The total magnetic moment is 0.0 μB/f.u.



Here is a relaxed structure of Te6MoW3S2 from the Materials Project database. Energies are from PBE.

```
Te6MoW3S2
1.0
3.458 0.000 0.000
-1.729 2.994 0.000
0.000 0.000 39.341
Te Mo W S
6 1 3 2
Cartesian
0.000 0.000 0.000
0.000 0.000 3.697
0.000 0.000 14.767
0.000 0.000 18.482
0.000 1.996 31.929
0.000 1.996 35.647
0.000 1.996 1.850
0.000 0.000 9.233
0.000 0.000 33.787
0.000 1.996 16.625
0.000 1.996 7.745
0.000 1.996 10.721
```

Values from the calculation:
As for the total energy: -6.65 eV per atom. The distance to the lowest polymorph of the same formula is 0.0007 eV per atom. The volume is 407.3 Å³/cell. The total magnetic moment is 0.0 μB/f.u.



Here is a relaxed structure of Te4Mo3WS4 from the Materials Project database. Energies are from PBE.

```
Te4Mo3WS4
1.0
3.361 0.000 0.000
-1.681 2.911 0.000
0.000 0.000 41.191
Te Mo W S
4 3 1 4
Cartesian
0.000 0.000 0.000
0.000 0.000 3.782
0.000 1.941 33.200
0.000 1.941 36.980
0.000 0.000 9.518
0.000 0.000 35.090
0.000 1.941 1.891
0.000 1.941 17.243
0.000 0.000 15.724
0.000 0.000 18.762
0.000 1.941 8.004
0.000 1.941 11.032
```

Values from the calculation:
As for the total energy: -6.70 eV per atom. The distance to the lowest polymorph of the same formula is 0.0003 eV per atom. The volume is 403.0 Å³/cell. The total magnetic moment is 0.0 μB/f.u.



Here is a relaxed structure of TeMoWS3 from the Materials Project database. Energies are from PBE.

```
TeMoWS3
1.0
3.272 0.000 0.000
-1.636 2.834 0.000
0.000 0.000 37.180
Te Mo W S
2 2 2 6
Cartesian
0.000 0.000 0.000
0.000 0.000 3.856
1.636 0.945 1.928
1.636 0.945 15.901
0.000 0.000 8.918
0.000 0.000 22.887
0.000 0.000 14.363
0.000 0.000 17.440
1.636 0.945 7.373
1.636 0.945 10.463
1.636 0.945 21.341
1.636 0.945 24.432
```

Values from the calculation:
As for the total energy: -7.19 eV per atom. The distance to the lowest polymorph of the same formula is 0.0010 eV per atom. The volume is 344.7 Å³/cell. The total magnetic moment is 0.0 μB/f.u.



Here is a relaxed structure of TeMoWS3 from the Materials Project database. Energies are from PBE.

```
TeMoWS3
1.0
3.278 0.000 0.000
-1.639 2.838 0.000
0.000 0.000 37.213
Te Mo W S
2 2 2 6
Cartesian
0.000 0.000 0.000
0.000 0.000 3.862
0.000 0.000 18.170
0.000 0.000 32.151
0.000 1.892 1.931
0.000 1.892 25.161
0.000 0.000 23.621
0.000 0.000 26.702
0.000 1.892 16.632
0.000 1.892 19.708
0.000 1.892 30.614
0.000 1.892 33.690
```

Values from the calculation:
As for the total energy: -7.16 eV per atom. The distance to the lowest polymorph of the same formula is 0.0393 eV per atom. The volume is 346.2 Å³/cell. The total magnetic moment is 0.0 μB/f.u.